Below is DyB2Os after structural relaxation, with properties calculated at the PBE level.

Summary:
Volume in A^3/atom: 12.5
E_form in meV/atom: -574
Size of the total moment in μB per formula unit: 0.0

a = 5.909 Å, b = 5.310 Å, c = 6.381 Å
α = 90.00°, β = 90.00°, γ = 90.00°
Fractional positions:
Dy 0.010 0.250 0.336
Dy 0.510 0.250 0.164
Dy 0.990 0.750 0.664
Dy 0.490 0.750 0.836
B 0.364 0.082 0.540
B 0.864 0.418 0.960
B 0.636 0.582 0.460
B 0.136 0.918 0.040
B 0.636 0.918 0.460
B 0.136 0.582 0.040
B 0.364 0.418 0.540
B 0.864 0.082 0.960
Os 0.177 0.250 0.818
Os 0.677 0.250 0.682
Os 0.823 0.750 0.182
Os 0.323 0.750 0.318